# 1
Compound: TiVCN
Source: Materials Project
Functional: GGA-PBE
Structure: optimized geometry

```
TiVCN
1.0
-1.438 -0.786 4.922
-3.524 -2.043 3.213
-0.966 -3.472 3.732
C Ti N V
1 1 1 1
direct
0.998 0.998 0.998 C
0.748 0.748 0.748 Ti
0.502 0.502 0.502 N
0.253 0.253 0.253 V
```

Output
- size of the total moment (μB per cell) = 0.0
- E_tot (eV per cell) = -38.56

---

# 2
Compound: Mg6NbCr
Source: Materials Project
Functional: GGA-PBE
Structure: optimized geometry

```
Mg6NbCr
1.0
4.830 0.000 0.000
0.000 6.066 0.000
0.000 0.000 11.085
Mg Cr Nb
12 2 2
direct
0.500 0.500 0.672 Mg
0.000 0.000 0.332 Mg
0.000 0.257 0.077 Mg
0.000 0.757 0.577 Mg
0.000 0.243 0.577 Mg
0.000 0.500 0.832 Mg
0.500 0.260 0.420 Mg
0.500 0.240 0.920 Mg
0.500 0.760 0.920 Mg
0.000 0.743 0.077 Mg
0.500 0.740 0.420 Mg
0.500 0.000 0.172 Mg
0.500 0.500 0.193 Cr
0.500 0.000 0.693 Cr
0.000 0.500 0.309 Nb
0.000 0.000 0.809 Nb
```

Output
- size of the total moment (μB per cell) = 5.0
- polymorph energy (0 for the lowest one) (meV/atom) = 0
- E_tot (eV per cell) = -54.93